[1]
Li7Mn4CoO12 | PBE with a Hubbard U | optimized geometry

Properties
Volume, Å³/cell: 217.02
Total magnetization, μB/cell: 18.00
ΔH_f (0 K), meV per atom: -2023
Energy with MP2020 corrections, eV per atom: -6.877

a b c (Å): 2.9606 5.9926 12.6002
angles (deg): 76.59 88.28 86.52
Closest atoms and distances in Å follow each position.
Space group P1 (No. 1)
Unique sites:
1 Li 0.0000 0.0000 0.0000 [1 per cell]  6 O 2.05-2.17
2 Li 0.0001 0.3366 0.3319 [1 per cell]  6 O 2.04-2.16
3 Li 0.0009 0.8374 0.3332 [1 per cell]  6 O 2.05-2.20
4 Li 0.0025 0.6733 0.6651 [1 per cell]  6 O 2.03-2.19
5 Li 0.4979 0.5124 0.4901 [1 per cell]  4 O 2.07-2.19
6 Li 0.5007 0.8392 0.8300 [1 per cell]  6 O 2.12-2.18
7 Li 0.5030 0.1585 0.1766 [1 per cell]  4 O 2.06-2.25
8 Mn 0.0056 0.5072 0.9987 [1 per cell]  4 O 1.93-2.00
9 Mn 0.4974 0.0007 0.4926 [1 per cell]  5 O 1.81-2.02
10 Mn 0.5005 0.3341 0.8298 [1 per cell]  4 O 1.94-2.01
11 Mn 0.5048 0.6743 0.1741 [1 per cell]  4 O 1.80-2.00
12 Co 0.9914 0.1655 0.6642 [1 per cell]  4 O 1.91-1.95
13 O 0.0193 0.7849 0.5001 [1 per cell]  2 Mn 1.94-1.96, 3 Li 2.03-2.12
14 O 0.0220 0.4511 0.1612 [1 per cell]  3 Mn 2.00-2.05, 2 Li 2.10-2.17
15 O 0.0362 0.5767 0.8365 [1 per cell]  2 Mn 1.95-1.99, 3 Li 2.11-2.15
16 O 0.4670 0.9391 0.6574 [1 per cell]  1 Co 1.91, 1 Mn 2.02, 1 Li 2.12
17 O 0.4679 0.2645 0.9938 [1 per cell]  2 Mn 1.95-2.01, 2 Li 2.15-2.16
18 O 0.4966 0.5901 0.3212 [1 per cell]  1 Mn 1.80
19 O 0.5045 0.0849 0.3448 [1 per cell]  1 Mn 1.81
20 O 0.5316 0.4034 0.6678 [1 per cell]  1 Co 1.92, 1 Mn 1.99
21 O 0.5372 0.7416 0.0072 [1 per cell]  2 Mn 1.93-2.05, 2 Li 2.11-2.14
22 O 0.9691 0.0959 0.8232 [1 per cell]  1 Mn 1.94, 1 Co 1.95, 3 Li 2.12-2.17
23 O 0.9789 0.2216 0.5059 [1 per cell]  1 Co 1.95, 2 Mn 1.99-2.04, 2 Li 2.14-2.16
24 O 0.9831 0.8898 0.1662 [1 per cell]  2 Mn 1.94-1.96, 3 Li 2.05-2.11

[2]
Li4MnCo2O7 | PBE with a Hubbard U | optimized geometry

Properties
Volume, Å³/cell: 505.40
Total magnetization, μB/cell: 0.79
ΔH_f (0 K), meV per atom: -1665
Energy with MP2020 corrections, eV per atom: -6.355

a b c (Å): 30.3270 2.8603 5.8526
angles (deg): 90.00 95.43 90.00
Closest atoms and distances in Å follow each position.
Space group Cm (No. 8)
Unique sites:
1 Li 0.0000 0.0000 0.0000 [2 per cell]  5 O 2.03-2.14
2 Li 0.0014 0.0000 0.5005 [2 per cell]  6 O 2.05-2.20
3 Li 0.0684 0.5000 0.2914 [2 per cell]  6 O 2.10-2.26
4 Li 0.1410 0.0000 0.5734 [2 per cell]  6 O 2.02-2.25
5 Li 0.2155 0.5000 0.8555 [2 per cell]  6 O 2.07-2.15
6 Li 0.2893 0.0000 0.1446 [2 per cell]  5 O 2.06-2.14
7 Li 0.3616 0.5000 0.4236 [2 per cell]  6 O 2.04-2.24
8 Li 0.4339 0.0000 0.7139 [2 per cell]  6 O 2.14-2.26
9 Mn 0.1432 0.0000 0.0686 [2 per cell]  6 O 1.92-2.04
10 Mn 0.2874 0.0000 0.6445 [2 per cell]  6 O 1.96-2.18
11 Co 0.0641 0.5000 0.7706 [2 per cell]  3 O 1.79-1.95
12 Co 0.2143 0.5000 0.3584 [2 per cell]  5 O 1.95-2.16
13 Co 0.3604 0.5000 0.9363 [2 per cell]  5 O 1.93-2.09
14 Co 0.4383 0.0000 0.2246 [2 per cell]  5 O 1.81-1.96
15 O 0.0047 0.5000 0.7574 [2 per cell]  1 Co 1.79
16 O 0.0741 0.0000 0.5546 [2 per cell]  2 Co 1.95, 3 Li 2.02-2.10
17 O 0.0797 0.0000 0.0187 [2 per cell]  1 Mn 1.92, 2 Co 2.06
18 O 0.1430 0.5000 0.2939 [2 per cell]  2 Mn 1.95, 1 Co 2.16, 2 Li 2.18
19 O 0.1471 0.5000 0.8498 [2 per cell]  2 Mn 1.93, 3 Li 2.07-2.15
20 O 0.2105 0.0000 0.1266 [2 per cell]  2 Co 1.97, 1 Mn 2.04, 2 Li 2.15
21 O 0.2156 0.0000 0.5852 [2 per cell]  2 Co 1.95, 2 Li 2.13, 1 Mn 2.17
22 O 0.2852 0.5000 0.8719 [2 per cell]  2 Mn 1.96, 3 Li 2.11-2.14
23 O 0.2875 0.5000 0.4142 [2 per cell]  2 Mn 1.97, 2 Li 2.13
24 O 0.3574 0.0000 0.1565 [2 per cell]  2 Co 1.93, 3 Li 2.06-2.11
25 O 0.3593 0.0000 0.7079 [2 per cell]  2 Co 1.96, 1 Mn 2.18
26 O 0.4291 0.5000 0.4375 [2 per cell]  2 Co 1.93, 3 Li 2.04-2.15
27 O 0.4294 0.5000 0.9960 [2 per cell]  3 Co 1.96-2.09, 1 Li 2.14
28 O 0.4981 0.0000 0.2477 [2 per cell]  1 Co 1.81

[3]
Li7Mn2Co3O12 | PBE with a Hubbard U | optimized geometry

Properties
Volume, Å³/cell: 433.86
Total magnetization, μB/cell: 2.88
ΔH_f (0 K), meV per atom: -1678
Energy with MP2020 corrections, eV per atom: -6.361

a b c (Å): 15.1395 2.9583 9.8936
angles (deg): 90.00 101.73 90.00
Closest atoms and distances in Å follow each position.
Space group C2/m (No. 12)
Unique sites:
1 Li 0.0000 0.0000 0.0000 [2 per cell]  6 O 2.05-2.17
2 Li 0.0760 0.5000 0.2305 [4 per cell]  5 O 2.06-2.22
3 Li 0.0853 0.0000 0.7626 [4 per cell]  3 O 1.99-2.11
4 Li 0.2488 0.0000 0.2321 [4 per cell]  4 O 1.94-2.08
5 Mn 0.1644 0.0000 0.4988 [4 per cell]  6 O 1.89-2.01
6 Co 0.0000 0.5000 0.5000 [2 per cell]  6 O 2.09-2.13
7 Co 0.1605 0.5000 0.0008 [4 per cell]  2 O 1.79-1.97
8 O 0.0481 0.0000 0.3844 [4 per cell]  1 Mn 1.89, 2 Co 2.09
9 O 0.0549 0.5000 0.8800 [4 per cell]  1 Co 1.79, 2 Li 1.99
10 O 0.1279 0.0000 0.1186 [4 per cell]  4 Li 1.94-2.09, 2 Co 2.01
11 O 0.1355 0.5000 0.6130 [4 per cell]  2 Mn 1.96, 1 Li 2.08, 1 Co 2.13
12 O 0.2076 0.5000 0.3957 [4 per cell]  3 Mn 1.98-2.01
13 O 0.2155 0.0000 0.8893 [4 per cell]  3 Co 1.97-2.12, 3 Li 2.05-2.11

[4]
Li7Mn2Co3O12 | PBE with a Hubbard U | optimized geometry

Properties
Volume, Å³/cell: 429.32
Total magnetization, μB/cell: 32.00
ΔH_f (0 K), meV per atom: -1863
Energy with MP2020 corrections, eV per atom: -6.546

a b c (Å): 15.3018 2.8933 10.2736
angles (deg): 90.00 109.28 90.00
Closest atoms and distances in Å follow each position.
Space group Cm (No. 8)
Unique sites:
1 Li 0.0000 0.0000 0.0000 [2 per cell]  6 O 2.07-2.12
2 Li 0.0000 0.5000 0.2389 [2 per cell]  6 O 2.11-2.26
3 Li 0.1661 0.0000 0.7566 [2 per cell]  6 O 2.00-2.18
4 Li 0.1667 0.0000 0.2455 [2 per cell]  6 O 2.00-2.20
5 Li 0.3343 0.5000 0.2494 [2 per cell]  6 O 2.05-2.24
6 Li 0.3416 0.5000 0.7642 [2 per cell]  4 O 1.98-2.12
7 Li 0.4982 0.0000 0.7664 [2 per cell]  5 O 2.12-2.15
8 Mn 0.1673 0.5000 0.5007 [2 per cell]  6 O 1.93-1.95
9 Mn 0.3372 0.0000 0.9999 [2 per cell]  6 O 1.85-2.03
10 Co 0.1583 0.5000 0.0096 [2 per cell]  3 O 1.80-1.96
11 Co 0.3397 0.0000 0.5065 [2 per cell]  6 O 1.99-2.14
12 Co 0.4983 0.5000 0.5014 [2 per cell]  6 O 2.01-2.16
13 O 0.0855 0.5000 0.6093 [2 per cell]  1 Mn 1.93, 2 Co 2.03, 2 Li 2.16
14 O 0.0916 0.5000 0.1243 [2 per cell]  1 Co 1.80, 2 Li 2.00
15 O 0.0933 0.0000 0.8862 [2 per cell]  2 Co 1.96, 4 Li 2.00-2.13
16 O 0.0956 0.0000 0.3890 [2 per cell]  2 Mn 1.94, 1 Li 2.10, 1 Co 2.16
17 O 0.2400 0.0000 0.6116 [2 per cell]  2 Mn 1.95, 1 Co 2.14, 1 Li 2.15
18 O 0.2491 0.0000 0.1106 [2 per cell]  1 Mn 2.03, 2 Co 2.04, 3 Li 2.14-2.16
19 O 0.2527 0.5000 0.3952 [2 per cell]  1 Mn 1.95, 2 Co 2.04
20 O 0.2588 0.5000 0.8937 [2 per cell]  2 Mn 1.96, 3 Li 2.12-2.18
21 O 0.4076 0.5000 0.1147 [2 per cell]  2 Mn 1.95, 4 Li 2.05-2.13
22 O 0.4096 0.0000 0.8870 [2 per cell]  1 Mn 1.85, 4 Li 1.98-2.07
23 O 0.4133 0.5000 0.6255 [2 per cell]  3 Co 1.99-2.10, 3 Li 2.07-2.15
24 O 0.4185 0.0000 0.3850 [2 per cell]  3 Co 2.00-2.01, 2 Li 2.12

[5]
Li6Mn3CoO10 | PBE with a Hubbard U | optimized geometry

Properties
Volume, Å³/cell: 381.62
Total magnetization, μB/cell: 34.85
ΔH_f (0 K), meV per atom: -1880
Energy with MP2020 corrections, eV per atom: -6.656

a b c (Å): 5.3260 2.8668 24.9956
angles (deg): 90.00 90.77 90.00
Closest atoms and distances in Å follow each position.
Space group Cm (No. 8)
Unique sites:
1 Li 0.0000 0.0000 0.0000 [2 per cell]  6 O 2.10-2.31
2 Li 0.0024 0.5000 0.4996 [2 per cell]  6 O 2.16-2.20
3 Li 0.0948 0.0000 0.2976 [2 per cell]  6 O 2.07-2.28
4 Li 0.1925 0.5000 0.0999 [2 per cell]  5 O 2.05-2.18
5 Li 0.3169 0.0000 0.9052 [2 per cell]  3 O 2.00-2.04
6 Li 0.4025 0.5000 0.6995 [2 per cell]  6 O 2.15-2.22
7 Mn 0.1051 0.5000 0.7984 [2 per cell]  5 O 1.95-2.16
8 Mn 0.2015 0.0000 0.6004 [2 per cell]  4 O 1.96
9 Mn 0.2998 0.5000 0.4003 [2 per cell]  4 O 1.95-1.97
10 Co 0.4005 0.0000 0.2017 [2 per cell]  6 O 1.99-2.16
11 O 0.0652 0.0000 0.1593 [2 per cell]  3 Co 1.99-2.06, 2 Li 2.18
12 O 0.0774 0.5000 0.6464 [2 per cell]  2 Mn 1.96, 3 Li 2.17
13 O 0.1473 0.5000 0.9475 [2 per cell]  5 Li 2.00-2.10
14 O 0.1754 0.0000 0.4467 [2 per cell]  2 Mn 1.97, 3 Li 2.16-2.17
15 O 0.2388 0.0000 0.7531 [2 per cell]  2 Mn 1.97, 2 Li 2.15
16 O 0.2472 0.5000 0.2479 [2 per cell]  3 Co 2.02-2.16, 3 Li 2.07-2.22
17 O 0.3277 0.5000 0.5543 [2 per cell]  2 Mn 1.96, 3 Li 2.19-2.20
18 O 0.3580 0.0000 0.0534 [2 per cell]  5 Li 2.05-2.11
19 O 0.4290 0.0000 0.3552 [2 per cell]  2 Mn 1.95
20 O 0.4605 0.5000 0.8407 [2 per cell]  3 Mn 1.95-2.16

[6]
Li4MnCo2O7 | PBE with a Hubbard U | optimized geometry

Properties
Volume, Å³/cell: 250.21
Total magnetization, μB/cell: 12.00
ΔH_f (0 K), meV per atom: -1829
Energy with MP2020 corrections, eV per atom: -6.518

a b c (Å): 2.9716 5.9642 14.3152
angles (deg): 82.94 84.56 85.99
Closest atoms and distances in Å follow each position.
Space group P1 (No. 1)
Unique sites:
1 Li 0.0000 0.0000 0.0000 [1 per cell]  5 O 1.99-2.15
2 Li 0.0119 0.5201 0.9984 [1 per cell]  6 O 2.01-2.21
3 Li 0.1458 0.0802 0.7190 [1 per cell]  6 O 2.00-2.17
4 Li 0.2912 0.6523 0.4321 [1 per cell]  6 O 2.08-2.20
5 Li 0.4395 0.2202 0.1413 [1 per cell]  4 O 2.09-2.16
6 Li 0.5712 0.8001 0.8676 [1 per cell]  6 O 2.07-2.25
7 Li 0.7200 0.3649 0.5732 [1 per cell]  6 O 2.10-2.19
8 Li 0.8601 0.9364 0.2906 [1 per cell]  6 O 2.05-2.19
9 Mn 0.1463 0.5804 0.7181 [1 per cell]  4 O 1.94-1.98
10 Mn 0.4396 0.7303 0.1419 [1 per cell]  5 O 1.82-2.01
11 Co 0.2912 0.1523 0.4311 [1 per cell]  4 O 1.92-1.95
12 Co 0.5664 0.2816 0.8674 [1 per cell]  2 O 1.75-1.88
13 Co 0.7232 0.8685 0.5736 [1 per cell]  4 O 1.92-1.94
14 Co 0.8700 0.4396 0.2898 [1 per cell]  4 O 1.91-1.95
15 O 0.0514 0.0638 0.8598 [1 per cell]  2 Co 1.88-2.09, 2 Li 1.99-2.00
16 O 0.1023 0.5346 0.8553 [1 per cell]  1 Mn 1.94, 1 Co 1.97, 2 Li 2.03-2.17
17 O 0.1907 0.6252 0.5785 [1 per cell]  1 Co 1.94, 1 Mn 1.98, 2 Li 2.08-2.13
18 O 0.2499 0.1071 0.5669 [1 per cell]  2 Co 1.92-1.93, 1 Li 2.13
19 O 0.3329 0.2000 0.2936 [1 per cell]  2 Co 1.91-1.95, 1 Li 2.14
20 O 0.3959 0.6739 0.2837 [1 per cell]  1 Co 1.91, 1 Mn 2.01, 1 Li 2.11
21 O 0.4953 0.7530 0.0137 [1 per cell]  1 Mn 1.82, 2 Li 2.01
22 O 0.5152 0.2653 0.9904 [1 per cell]  1 Co 1.75
23 O 0.6203 0.3360 0.7274 [1 per cell]  1 Mn 1.96, 1 Co 1.98, 3 Li 2.11-2.19
24 O 0.6754 0.8269 0.7093 [1 per cell]  1 Co 1.92, 1 Mn 1.96, 1 Li 2.11
25 O 0.7625 0.9140 0.4375 [1 per cell]  2 Co 1.92-1.93, 2 Li 2.08-2.14
26 O 0.8171 0.3898 0.4250 [1 per cell]  2 Co 1.91-1.93, 2 Li 2.10-2.14
27 O 0.9111 0.9433 0.1467 [1 per cell]  2 Mn 1.95-1.97, 3 Li 2.05-2.09
28 O 0.9560 0.4990 0.1521 [1 per cell]  1 Co 1.95, 2 Mn 1.99-2.04, 2 Li 2.13-2.18